A plane-wave DFT calculation with r²SCAN was carried out for crystalline ReN at its relaxed geometry.

a = 4.055 Å, b = 4.055 Å, c = 4.055 Å
α = 90.00°, β = 90.00°, γ = 90.00°
Fractional coordinates of all 6 atoms:
1 Re 0.000 0.000 0.500
2 Re 0.000 0.500 0.000
3 Re 0.500 0.000 0.000
4 N 0.000 0.500 0.500
5 N 0.500 0.000 0.500
6 N 0.500 0.500 0.000

Output
Electronic total energy: -61.56 eV/f.u.
Calculated formation energy: -0.009 eV per atom
Mass density: 14.963 g cm⁻³



A plane-wave DFT calculation with r²SCAN was carried out for crystalline Sr2ReN3 at its relaxed geometry.

a = 6.293 Å, b = 6.293 Å, c = 12.521 Å
α = 92.43°, β = 92.43°, γ = 128.52°
Fractional coordinates of all 24 atoms:
1 Sr 0.019 0.419 0.356
2 Sr 0.124 0.347 0.924
3 Sr 0.347 0.124 0.424
4 Sr 0.419 0.019 0.856
5 Sr 0.581 0.981 0.144
6 Sr 0.653 0.876 0.576
7 Sr 0.876 0.653 0.076
8 Sr 0.981 0.581 0.644
9 Re 0.286 0.293 0.173
10 Re 0.293 0.286 0.673
11 Re 0.707 0.714 0.327
12 Re 0.714 0.707 0.827
13 N 0.002 0.998 0.750
14 N 0.137 0.459 0.129
15 N 0.174 0.345 0.548
16 N 0.345 0.174 0.048
17 N 0.374 0.626 0.750
18 N 0.459 0.137 0.629
19 N 0.541 0.863 0.371
20 N 0.626 0.374 0.250
21 N 0.655 0.826 0.952
22 N 0.826 0.655 0.452
23 N 0.863 0.541 0.871
24 N 0.998 0.002 0.250

Output
Electronic total energy: -115.24 eV/f.u.
Calculated formation energy: -0.859 eV per atom
Mass density: 6.941 g cm⁻³



A plane-wave DFT calculation with r²SCAN was carried out for crystalline SrReN3 at its relaxed geometry.

a = 7.578 Å, b = 7.578 Å, c = 6.188 Å
α = 101.78°, β = 101.78°, γ = 86.99°
Fractional coordinates of all 20 atoms:
1 Sr 0.092 0.908 0.750
2 Sr 0.318 0.682 0.250
3 Sr 0.682 0.318 0.750
4 Sr 0.908 0.092 0.250
5 Re 0.203 0.376 0.747
6 Re 0.376 0.203 0.247
7 Re 0.624 0.797 0.753
8 Re 0.797 0.624 0.253
9 N 0.015 0.232 0.666
10 N 0.129 0.595 0.835
11 N 0.232 0.015 0.166
12 N 0.325 0.366 0.504
13 N 0.366 0.325 0.004
14 N 0.405 0.871 0.665
15 N 0.595 0.129 0.335
16 N 0.634 0.675 0.996
17 N 0.675 0.634 0.496
18 N 0.768 0.985 0.834
19 N 0.871 0.405 0.165
20 N 0.985 0.768 0.334

Output
Electronic total energy: -98.26 eV/f.u.
Calculated formation energy: -0.664 eV per atom
Mass density: 6.160 g cm⁻³



A plane-wave DFT calculation with r²SCAN was carried out for crystalline Sr3RhN3 at its relaxed geometry.

a = 7.690 Å, b = 7.690 Å, c = 5.306 Å
α = 90.00°, β = 90.00°, γ = 120.00°
Fractional coordinates of all 14 atoms:
1 Sr 0.094 0.363 0.250
2 Sr 0.269 0.906 0.250
3 Sr 0.363 0.269 0.750
4 Sr 0.637 0.731 0.250
5 Sr 0.731 0.094 0.750
6 Sr 0.906 0.637 0.750
7 Rh 0.333 0.667 0.750
8 Rh 0.667 0.333 0.250
9 N 0.106 0.406 0.750
10 N 0.299 0.894 0.750
11 N 0.406 0.299 0.250
12 N 0.594 0.701 0.750
13 N 0.701 0.106 0.250
14 N 0.894 0.594 0.250

Output
Electronic total energy: -101.29 eV/f.u.
Calculated formation energy: -0.619 eV per atom
Mass density: 4.984 g cm⁻³



A plane-wave DFT calculation with r²SCAN was carried out for crystalline Zr4Rh2N at its relaxed geometry.

a = 8.766 Å, b = 8.766 Å, c = 8.766 Å
α = 60.00°, β = 60.00°, γ = 60.00°
Fractional coordinates of all 28 atoms:
1 Zr 0.000 0.000 0.000
2 Zr 0.000 0.000 0.500
3 Zr 0.000 0.500 0.000
4 Zr 0.192 0.192 0.558
5 Zr 0.192 0.558 0.192
6 Zr 0.192 0.558 0.558
7 Zr 0.442 0.442 0.808
8 Zr 0.442 0.808 0.442
9 Zr 0.442 0.808 0.808
10 Zr 0.500 0.000 0.000
11 Zr 0.558 0.192 0.192
12 Zr 0.558 0.192 0.558
13 Zr 0.558 0.558 0.192
14 Zr 0.808 0.442 0.442
15 Zr 0.808 0.442 0.808
16 Zr 0.808 0.808 0.442
17 Rh 0.149 0.784 0.784
18 Rh 0.216 0.216 0.216
19 Rh 0.216 0.216 0.851
20 Rh 0.216 0.851 0.216
21 Rh 0.784 0.149 0.784
22 Rh 0.784 0.784 0.149
23 Rh 0.784 0.784 0.784
24 Rh 0.851 0.216 0.216
25 N 0.000 0.500 0.500
26 N 0.500 0.000 0.500
27 N 0.500 0.500 0.000
28 N 0.500 0.500 0.500

Output
Electronic total energy: -156.30 eV/f.u.
Calculated formation energy: -1.128 eV per atom
Mass density: 8.153 g cm⁻³



A plane-wave DFT calculation with r²SCAN was carried out for crystalline Sr3RuN3 at its relaxed geometry.

a = 7.780 Å, b = 7.780 Å, c = 5.297 Å
α = 90.00°, β = 90.00°, γ = 120.00°
Fractional coordinates of all 14 atoms:
1 Sr 0.093 0.357 0.250
2 Sr 0.264 0.907 0.250
3 Sr 0.357 0.264 0.750
4 Sr 0.643 0.736 0.250
5 Sr 0.736 0.093 0.750
6 Sr 0.907 0.643 0.750
7 Ru 0.333 0.667 0.750
8 Ru 0.667 0.333 0.250
9 N 0.109 0.418 0.750
10 N 0.309 0.891 0.750
11 N 0.418 0.309 0.250
12 N 0.582 0.691 0.750
13 N 0.691 0.109 0.250
14 N 0.891 0.582 0.250

Output
Electronic total energy: -103.31 eV/f.u.
Calculated formation energy: -0.723 eV per atom
Mass density: 4.856 g cm⁻³



A plane-wave DFT calculation with r²SCAN was carried out for crystalline Sm4S3N2 at its relaxed geometry.

a = 6.911 Å, b = 6.911 Å, c = 10.152 Å
α = 127.00°, β = 127.00°, γ = 33.02°
Fractional coordinates of all 9 atoms:
1 Sm 0.063 0.063 0.356
2 Sm 0.256 0.256 0.147
3 Sm 0.744 0.744 0.853
4 Sm 0.937 0.937 0.644
5 S 0.330 0.330 0.719
6 S 0.500 0.500 0.500
7 S 0.670 0.670 0.281
8 N 0.146 0.146 0.860
9 N 0.854 0.854 0.140

Output
Electronic total energy: -180.84 eV/f.u.
Calculated formation energy: -2.173 eV per atom
Mass density: 5.857 g cm⁻³



A plane-wave DFT calculation with r²SCAN was carried out for crystalline Tb3S3N at its relaxed geometry.

a = 11.979 Å, b = 3.841 Å, c = 12.899 Å
α = 90.00°, β = 90.00°, γ = 90.00°
Fractional coordinates of all 28 atoms:
1 Tb 0.048 0.250 0.143
2 Tb 0.066 0.250 0.632
3 Tb 0.211 0.250 0.860
4 Tb 0.289 0.750 0.360
5 Tb 0.434 0.750 0.132
6 Tb 0.452 0.750 0.643
7 Tb 0.548 0.250 0.357
8 Tb 0.566 0.250 0.868
9 Tb 0.711 0.250 0.640
10 Tb 0.789 0.750 0.140
11 Tb 0.934 0.750 0.368
12 Tb 0.952 0.750 0.857
13 S 0.093 0.250 0.400
14 S 0.133 0.750 0.991
15 S 0.224 0.750 0.692
16 S 0.276 0.250 0.192
17 S 0.367 0.250 0.491
18 S 0.407 0.750 0.900
19 S 0.593 0.250 0.100
20 S 0.633 0.750 0.509
21 S 0.724 0.750 0.808
22 S 0.776 0.250 0.308
23 S 0.867 0.250 0.009
24 S 0.907 0.750 0.600
25 N 0.035 0.250 0.798
26 N 0.465 0.750 0.298
27 N 0.535 0.250 0.702
28 N 0.965 0.750 0.202

Output
Electronic total energy: -143.02 eV/f.u.
Calculated formation energy: -2.302 eV per atom
Mass density: 6.569 g cm⁻³



A plane-wave DFT calculation with r²SCAN was carried out for crystalline Y4S3N2 at its relaxed geometry.

a = 6.740 Å, b = 6.740 Å, c = 9.850 Å
α = 126.53°, β = 126.53°, γ = 33.02°
Fractional coordinates of all 9 atoms:
1 Y 0.063 0.063 0.354
2 Y 0.260 0.260 0.149
3 Y 0.740 0.740 0.851
4 Y 0.937 0.937 0.646
5 S 0.326 0.326 0.716
6 S 0.500 0.500 0.500
7 S 0.674 0.674 0.284
8 N 0.143 0.143 0.861
9 N 0.857 0.857 0.139

Output
Electronic total energy: -143.82 eV/f.u.
Calculated formation energy: -2.245 eV per atom
Mass density: 4.168 g cm⁻³



A plane-wave DFT calculation with r²SCAN was carried out for crystalline U2SbN2 at its relaxed geometry.

a = 6.783 Å, b = 6.783 Å, c = 6.783 Å
α = 146.82°, β = 146.82°, γ = 47.63°
Fractional coordinates of all 5 atoms:
1 U 0.157 0.157 0.000
2 U 0.843 0.843 0.000
3 Sb 0.500 0.500 0.000
4 N 0.250 0.750 0.500
5 N 0.750 0.250 0.500

Output
Electronic total energy: -211.50 eV/f.u.
Calculated formation energy: -1.530 eV per atom
Mass density: 11.164 g cm⁻³



A plane-wave DFT calculation with r²SCAN was carried out for crystalline Zn3SbN3 at its relaxed geometry.

a = 6.788 Å, b = 6.566 Å, c = 5.577 Å
α = 90.00°, β = 125.21°, γ = 90.00°
Fractional coordinates of all 14 atoms:
1 Zn 0.643 0.000 0.118
2 Zn 0.143 0.500 0.118
3 Zn 0.035 0.279 0.520
4 Zn 0.035 0.721 0.520
5 Zn 0.535 0.779 0.520
6 Zn 0.535 0.221 0.520
7 Sb 0.061 0.000 0.002
8 Sb 0.561 0.500 0.002
9 N 0.677 0.266 0.300
10 N 0.677 0.734 0.300
11 N 0.177 0.766 0.300
12 N 0.177 0.234 0.300
13 N 0.699 0.000 0.812
14 N 0.199 0.500 0.812

Output
Electronic total energy: -79.96 eV/f.u.
Calculated formation energy: -0.020 eV per atom
Mass density: 5.888 g cm⁻³



A plane-wave DFT calculation with r²SCAN was carried out for crystalline ZnSb2N4 at its relaxed geometry.

a = 8.847 Å, b = 8.847 Å, c = 8.847 Å
α = 90.00°, β = 90.00°, γ = 90.00°
Fractional coordinates of all 56 atoms:
1 Zn 0.375 0.375 0.375
2 Zn 0.375 0.875 0.875
3 Zn 0.875 0.375 0.875
4 Zn 0.875 0.875 0.375
5 Zn 0.625 0.625 0.625
6 Zn 0.625 0.125 0.125
7 Zn 0.125 0.625 0.125
8 Zn 0.125 0.125 0.625
9 Sb 0.000 0.000 0.000
10 Sb 0.000 0.250 0.250
11 Sb 0.250 0.000 0.250
12 Sb 0.250 0.250 0.000
13 Sb 0.000 0.500 0.500
14 Sb 0.000 0.750 0.750
15 Sb 0.250 0.500 0.750
16 Sb 0.250 0.750 0.500
17 Sb 0.500 0.000 0.500
18 Sb 0.500 0.250 0.750
19 Sb 0.750 0.000 0.750
20 Sb 0.750 0.250 0.500
21 Sb 0.500 0.500 0.000
22 Sb 0.500 0.750 0.250
23 Sb 0.750 0.500 0.250
24 Sb 0.750 0.750 0.000
25 N 0.760 0.760 0.760
26 N 0.760 0.490 0.490
27 N 0.490 0.760 0.490
28 N 0.490 0.490 0.760
29 N 0.240 0.240 0.240
30 N 0.240 0.010 0.010
31 N 0.010 0.240 0.010
32 N 0.010 0.010 0.240
33 N 0.760 0.260 0.260
34 N 0.760 0.990 0.990
35 N 0.490 0.260 0.990
36 N 0.490 0.990 0.260
37 N 0.240 0.740 0.740
38 N 0.240 0.510 0.510
39 N 0.010 0.740 0.510
40 N 0.010 0.510 0.740
41 N 0.260 0.760 0.260
42 N 0.260 0.490 0.990
43 N 0.990 0.760 0.990
44 N 0.990 0.490 0.260
45 N 0.740 0.240 0.740
46 N 0.740 0.010 0.510
47 N 0.510 0.240 0.510
48 N 0.510 0.010 0.740
49 N 0.260 0.260 0.760
50 N 0.260 0.990 0.490
51 N 0.990 0.260 0.490
52 N 0.990 0.990 0.760
53 N 0.740 0.740 0.240
54 N 0.740 0.510 0.010
55 N 0.510 0.740 0.010
56 N 0.510 0.510 0.240

Output
Electronic total energy: -95.62 eV/f.u.
Calculated formation energy: 0.174 eV per atom
Mass density: 7.002 g cm⁻³